Arrangement w

A plane-wave DFT calculation with PBE with a Hubbard U was carried out for CdCo2O4 after structural relaxation.

Summary:
**Theoretical density**: 5.93 g/cm3

a = 5.067 Å, b = 5.909 Å, c = 11.011 Å
α = 89.08°, β = 89.92°, γ = 89.29°
Element x y z (fractional)
O  0.331  0.250  0.597
O  0.687  0.251  0.414
Co  0.992  0.749  0.490
Cd  0.356  0.752  0.250
O  0.331  0.255  0.903
Cd  0.645  0.246  0.750
Co  0.991  0.754  0.012
Co  0.498  0.500  0.495
O  0.163  0.518  0.106
O  0.834  0.480  0.890
O  0.836  0.977  0.900
Co  0.007  0.247  0.989
O  0.313  0.752  0.914
O  0.668  0.757  0.403
Co  0.500  0.000  0.000
O  0.315  0.745  0.587
Co  0.499  0.500  0.000
O  0.849  0.502  0.594
Co  0.502  0.999  0.506
O  0.687  0.249  0.085
Cd  0.027  0.741  0.750
Cd  0.974  0.259  0.250
O  0.166  0.021  0.103
Co  0.008  0.248  0.511
O  0.668  0.744  0.097
O  0.153  0.004  0.406
O  0.177  0.501  0.388
O  0.822  0.998  0.614


Arrangement x

A plane-wave DFT calculation with PBE with a Hubbard U was carried out for CdCo2O4 after structural relaxation.

Summary:
**Theoretical density**: 6.46 g/cm3

a = 5.982 Å, b = 5.982 Å, c = 5.982 Å
α = 60.00°, β = 60.00°, γ = 60.00°
Element x y z (fractional)
O  0.354  0.354  0.354
Co  0.125  0.625  0.125
O  0.938  0.354  0.354
Co  0.125  0.125  0.125
O  0.896  0.896  0.896
Cd  0.750  0.750  0.750
Co  0.125  0.125  0.625
O  0.354  0.938  0.354
O  0.354  0.354  0.938
Cd  0.500  0.500  0.500
O  0.896  0.312  0.896
Co  0.625  0.125  0.125
O  0.896  0.896  0.312
O  0.312  0.896  0.896


Arrangement y

A plane-wave DFT calculation with PBE with a Hubbard U was carried out for CdCo2O4 after structural relaxation.

Summary:
**Theoretical density**: 5.91 g/cm3

a = 5.861 Å, b = 6.425 Å, c = 5.800 Å
α = 62.87°, β = 90.75°, γ = 118.29°
Element x y z (fractional)
O  0.162  0.296  0.128
O  0.128  0.691  0.154
Cd  0.743  0.504  0.746
Co  0.375  0.750  0.875
O  0.605  0.221  0.176
Co  0.375  0.750  0.375
Co  0.375  0.250  0.375
O  0.145  0.279  0.574
Cd  0.007  0.996  0.004
Co  0.875  0.250  0.375
O  0.588  0.204  0.622
O  0.622  0.809  0.596
O  0.182  0.786  0.604
O  0.568  0.714  0.146


Arrangement z

A plane-wave DFT calculation with PBE with a Hubbard U was carried out for CdCo2O4 after structural relaxation.

Summary:
**Theoretical density**: 6.28 g/cm3

a = 4.950 Å, b = 5.715 Å, c = 11.009 Å
α = 90.00°, β = 90.01°, γ = 90.00°
Element x y z (fractional)
Co  0.996  0.750  0.994
Co  0.500  0.500  0.000
Cd  0.632  0.250  0.250
O  0.167  0.501  0.595
Co  0.500  0.000  0.000
Co  0.004  0.250  0.006
Co  0.996  0.750  0.506
O  0.167  0.999  0.905
O  0.658  0.750  0.909
O  0.325  0.750  0.413
O  0.675  0.250  0.913
O  0.167  0.501  0.905
O  0.833  0.001  0.095
O  0.342  0.250  0.091
O  0.675  0.250  0.587
Cd  0.039  0.750  0.250
Co  0.500  0.500  0.500
O  0.833  0.499  0.405
O  0.658  0.750  0.591
Co  0.500  0.000  0.500
O  0.325  0.750  0.087
O  0.342  0.250  0.409
Cd  0.368  0.750  0.750
Cd  0.961  0.250  0.750
Co  0.004  0.250  0.494
O  0.833  0.499  0.095
O  0.167  0.999  0.595
O  0.833  0.001  0.405


Name the most stable of them. arrangement x.